Density functional theory data (r²SCAN) for an optimized crystal structure of ZnS.

The value obtained for the formation energy is -963 meV/atom. As for the density: 4.14 g cm⁻³.

a b c (Å): 3.8079 3.8079 49.8181
angles (deg): 90.00 90.00 120.00
With the nearest neighbours (Å) after each atom.
Space group P3m1 (No. 156)
One atom of each set of equivalent atoms:
Zn (0.0000, 0.0000, 0.0000)  4 S 2.33
Zn (0.0000, 0.0000, 0.1250)  4 S 2.33
Zn (0.0000, 0.0000, 0.3125)  4 S 2.33
Zn (0.0000, 0.0000, 0.5000)  4 S 2.33
Zn (0.0000, 0.0000, 0.6875)  4 S 2.33
Zn (0.0000, 0.0000, 0.8749)  4 S 2.33
Zn (0.3333, 0.6667, 0.1875)  4 S 2.33
Zn (0.3333, 0.6667, 0.3750)  4 S 2.33
Zn (0.3333, 0.6667, 0.5625)  4 S 2.33
Zn (0.3333, 0.6667, 0.7500)  4 S 2.33
Zn (0.3333, 0.6667, 0.9375)  4 S 2.33-2.34
Zn (0.6667, 0.3333, 0.0625)  4 S 2.33-2.34
Zn (0.6667, 0.3333, 0.2500)  4 S 2.33
Zn (0.6667, 0.3333, 0.4375)  4 S 2.33
Zn (0.6667, 0.3333, 0.6250)  4 S 2.33
Zn (0.6667, 0.3333, 0.8125)  4 S 2.33
S (0.0000, 0.0000, 0.0468)  4 Zn 2.33
S (0.0000, 0.0000, 0.1718)  4 Zn 2.33
S (0.0000, 0.0000, 0.3593)  4 Zn 2.33
S (0.0000, 0.0000, 0.5468)  4 Zn 2.33
S (0.0000, 0.0000, 0.7343)  4 Zn 2.33
S (0.0000, 0.0000, 0.9218)  4 Zn 2.33
S (0.3333, 0.6667, 0.2343)  4 Zn 2.33
S (0.3333, 0.6667, 0.4218)  4 Zn 2.33
S (0.3333, 0.6667, 0.6093)  4 Zn 2.33
S (0.3333, 0.6667, 0.7968)  4 Zn 2.33
S (0.3333, 0.6667, 0.9844)  4 Zn 2.33-2.34
S (0.6667, 0.3333, 0.1094)  4 Zn 2.33-2.34
S (0.6667, 0.3333, 0.2968)  4 Zn 2.33
S (0.6667, 0.3333, 0.4843)  4 Zn 2.33
S (0.6667, 0.3333, 0.6718)  4 Zn 2.33
S (0.6667, 0.3333, 0.8593)  4 Zn 2.33

=====

Density functional theory data (r²SCAN) for an optimized crystal structure of ZnS.

The value obtained for the formation energy is -962 meV/atom. As for the density: 4.14 g cm⁻³.

a b c (Å): 3.8092 3.8092 74.7501
angles (deg): 90.00 90.00 120.00
With the nearest neighbours (Å) after each atom.
Space group P3m1 (No. 156)
One atom of each set of equivalent atoms:
Zn (0.0000, 0.0000, 0.0000)  4 S 2.33
Zn (0.0000, 0.0000, 0.0835)  4 S 2.33
Zn (0.0000, 0.0000, 0.2082)  4 S 2.33-2.34
Zn (0.0000, 0.0000, 0.2917)  4 S 2.33
Zn (0.0000, 0.0000, 0.4583)  4 S 2.33-2.34
Zn (0.0000, 0.0000, 0.5833)  4 S 2.33-2.34
Zn (0.0000, 0.0000, 0.7082)  4 S 2.33-2.34
Zn (0.0000, 0.0000, 0.8333)  4 S 2.33
Zn (0.3333, 0.6667, 0.1250)  4 S 2.33
Zn (0.3333, 0.6667, 0.2500)  4 S 2.34
Zn (0.3333, 0.6667, 0.3750)  4 S 2.33-2.34
Zn (0.3333, 0.6667, 0.5416)  4 S 2.33
Zn (0.3333, 0.6667, 0.6666)  4 S 2.33
Zn (0.3333, 0.6667, 0.7500)  4 S 2.33
Zn (0.3333, 0.6667, 0.8750)  4 S 2.33
Zn (0.3333, 0.6667, 0.9584)  4 S 2.33
Zn (0.6667, 0.3333, 0.0417)  4 S 2.34
Zn (0.6667, 0.3333, 0.1666)  4 S 2.33
Zn (0.6667, 0.3333, 0.3333)  4 S 2.33
Zn (0.6667, 0.3333, 0.4166)  4 S 2.33
Zn (0.6667, 0.3333, 0.5000)  4 S 2.33
Zn (0.6667, 0.3333, 0.6250)  4 S 2.33
Zn (0.6667, 0.3333, 0.7916)  4 S 2.33-2.34
Zn (0.6667, 0.3333, 0.9166)  4 S 2.33-2.34
S (0.0000, 0.0000, 0.0312)  4 Zn 2.33-2.34
S (0.0000, 0.0000, 0.1146)  4 Zn 2.33
S (0.0000, 0.0000, 0.2395)  4 Zn 2.34
S (0.0000, 0.0000, 0.3229)  4 Zn 2.33
S (0.0000, 0.0000, 0.4895)  4 Zn 2.33-2.34
S (0.0000, 0.0000, 0.6145)  4 Zn 2.33-2.34
S (0.0000, 0.0000, 0.7395)  4 Zn 2.33-2.34
S (0.0000, 0.0000, 0.8645)  4 Zn 2.33
S (0.3333, 0.6667, 0.1562)  4 Zn 2.33
S (0.3333, 0.6667, 0.2813)  4 Zn 2.33-2.34
S (0.3333, 0.6667, 0.4062)  4 Zn 2.33-2.34
S (0.3333, 0.6667, 0.5728)  4 Zn 2.33
S (0.3333, 0.6667, 0.6978)  4 Zn 2.33
S (0.3333, 0.6667, 0.7812)  4 Zn 2.33
S (0.3333, 0.6667, 0.9062)  4 Zn 2.33
S (0.3333, 0.6667, 0.9896)  4 Zn 2.33
S (0.6667, 0.3333, 0.0730)  4 Zn 2.33-2.34
S (0.6667, 0.3333, 0.1978)  4 Zn 2.33
S (0.6667, 0.3333, 0.3645)  4 Zn 2.33
S (0.6667, 0.3333, 0.4478)  4 Zn 2.33
S (0.6667, 0.3333, 0.5312)  4 Zn 2.33
S (0.6667, 0.3333, 0.6562)  4 Zn 2.33
S (0.6667, 0.3333, 0.8229)  4 Zn 2.33-2.34
S (0.6667, 0.3333, 0.9479)  4 Zn 2.33-2.34

=====

Density functional theory data (r²SCAN) for an optimized crystal structure of ZnS.

The value obtained for the formation energy is -962 meV/atom. As for the density: 4.14 g cm⁻³.

a b c (Å): 3.8100 3.8100 80.9529
angles (deg): 90.00 90.00 120.00
With the nearest neighbours (Å) after each atom.
Space group P3m1 (No. 156)
One atom of each set of equivalent atoms:
Zn (0.0000, 0.0000, 0.0000)  4 S 2.33
Zn (0.0000, 0.0000, 0.0770)  4 S 2.33
Zn (0.0000, 0.0000, 0.2308)  4 S 2.33-2.34
Zn (0.0000, 0.0000, 0.3078)  4 S 2.33
Zn (0.0000, 0.0000, 0.4615)  4 S 2.33-2.34
Zn (0.0000, 0.0000, 0.5386)  4 S 2.33
Zn (0.0000, 0.0000, 0.6538)  4 S 2.33
Zn (0.0000, 0.0000, 0.7693)  4 S 2.34
Zn (0.0000, 0.0000, 0.8846)  4 S 2.33
Zn (0.3333, 0.6667, 0.0385)  4 S 2.34
Zn (0.3333, 0.6667, 0.1538)  4 S 2.33-2.34
Zn (0.3333, 0.6667, 0.2693)  4 S 2.34
Zn (0.3333, 0.6667, 0.3846)  4 S 2.33-2.34
Zn (0.3333, 0.6667, 0.5000)  4 S 2.34
Zn (0.3333, 0.6667, 0.6154)  4 S 2.33
Zn (0.3333, 0.6667, 0.7308)  4 S 2.33
Zn (0.3333, 0.6667, 0.8078)  4 S 2.33
Zn (0.3333, 0.6667, 0.9231)  4 S 2.33-2.34
Zn (0.6667, 0.3333, 0.1154)  4 S 2.33
Zn (0.6667, 0.3333, 0.1923)  4 S 2.33
Zn (0.6667, 0.3333, 0.3462)  4 S 2.33
Zn (0.6667, 0.3333, 0.4231)  4 S 2.33
Zn (0.6667, 0.3333, 0.5770)  4 S 2.33
Zn (0.6667, 0.3333, 0.6923)  4 S 2.33-2.34
Zn (0.6667, 0.3333, 0.8462)  4 S 2.33
Zn (0.6667, 0.3333, 0.9615)  4 S 2.33
S (0.0000, 0.0000, 0.0288)  4 Zn 2.33-2.34
S (0.0000, 0.0000, 0.1058)  4 Zn 2.33
S (0.0000, 0.0000, 0.2596)  4 Zn 2.34
S (0.0000, 0.0000, 0.3366)  4 Zn 2.33
S (0.0000, 0.0000, 0.4904)  4 Zn 2.34
S (0.0000, 0.0000, 0.5674)  4 Zn 2.33
S (0.0000, 0.0000, 0.6827)  4 Zn 2.33
S (0.0000, 0.0000, 0.7982)  4 Zn 2.33-2.34
S (0.0000, 0.0000, 0.9135)  4 Zn 2.33
S (0.3333, 0.6667, 0.0674)  4 Zn 2.33-2.34
S (0.3333, 0.6667, 0.1827)  4 Zn 2.33-2.34
S (0.3333, 0.6667, 0.2982)  4 Zn 2.33-2.34
S (0.3333, 0.6667, 0.4135)  4 Zn 2.33-2.34
S (0.3333, 0.6667, 0.5289)  4 Zn 2.33-2.34
S (0.3333, 0.6667, 0.6442)  4 Zn 2.33
S (0.3333, 0.6667, 0.7596)  4 Zn 2.33-2.34
S (0.3333, 0.6667, 0.8366)  4 Zn 2.33
S (0.3333, 0.6667, 0.9519)  4 Zn 2.33-2.34
S (0.6667, 0.3333, 0.1442)  4 Zn 2.33
S (0.6667, 0.3333, 0.2211)  4 Zn 2.33
S (0.6667, 0.3333, 0.3750)  4 Zn 2.33
S (0.6667, 0.3333, 0.4519)  4 Zn 2.33
S (0.6667, 0.3333, 0.6058)  4 Zn 2.33
S (0.6667, 0.3333, 0.7211)  4 Zn 2.33-2.34
S (0.6667, 0.3333, 0.8750)  4 Zn 2.33
S (0.6667, 0.3333, 0.9904)  4 Zn 2.33

=====

Density functional theory data (r²SCAN) for an optimized crystal structure of ZnS.

The value obtained for the formation energy is -963 meV/atom. As for the density: 4.14 g cm⁻³.

a b c (Å): 3.8087 3.8087 62.2639
angles (deg): 90.00 90.00 120.00
With the nearest neighbours (Å) after each atom.
Space group P6_3mc (No. 186)
One atom of each set of equivalent atoms:
Zn (0.0000, 0.0000, 0.0000)  4 S 2.33
Zn (0.0000, 0.0000, 0.1500)  4 S 2.33
Zn (0.0000, 0.0000, 0.3000)  4 S 2.33
Zn (0.3333, 0.6667, 0.0500)  4 S 2.33
Zn (0.3333, 0.6667, 0.2000)  4 S 2.33
Zn (0.3333, 0.6667, 0.3500)  4 S 2.33
Zn (0.3333, 0.6667, 0.4500)  4 S 2.33
Zn (0.3333, 0.6667, 0.6000)  4 S 2.33
Zn (0.3333, 0.6667, 0.7500)  4 S 2.33
Zn (0.3333, 0.6667, 0.9000)  4 S 2.33-2.34
S (0.0000, 0.0000, 0.0375)  4 Zn 2.33
S (0.0000, 0.0000, 0.1875)  4 Zn 2.33
S (0.0000, 0.0000, 0.3375)  4 Zn 2.33
S (0.3333, 0.6667, 0.0875)  4 Zn 2.33
S (0.3333, 0.6667, 0.2375)  4 Zn 2.33
S (0.3333, 0.6667, 0.3874)  4 Zn 2.33
S (0.3333, 0.6667, 0.4875)  4 Zn 2.33
S (0.3333, 0.6667, 0.6375)  4 Zn 2.33
S (0.3333, 0.6667, 0.7875)  4 Zn 2.33
S (0.3333, 0.6667, 0.9375)  4 Zn 2.33-2.34